Entry from the Materials Project: a relaxed structure of LiMnPO4 (GGA+U).

Output
M_tot: 5.00 μB per formula unit
Energy of formation from the pure elements: -2586.0 meV per atom

Unit cell a=9.8275 b=9.8275 c=23.3418 alpha=90.00 beta=90.00 gamma=120.00
Closest atoms and distances in Å follow each position.
Space group P6_1 (No. 169)
Symmetry-distinct sites (fractional):
Li  0.0953  0.7647  0.1594 [6 per cell]  4 O 1.90-1.98
Li  0.1014  0.8134  0.5102 [6 per cell]  4 O 1.89-2.07
Li  0.1258  0.7606  0.8333 [6 per cell]  4 O 1.93-1.99
Li  0.3136  0.6643  0.9933 [6 per cell]  4 O 1.92-2.07
Mn  0.0056  0.9832  0.4454 [6 per cell]  3 O 2.11-2.21
Mn  0.0220  0.5590  0.2807 [6 per cell]  5 O 2.12-2.36
Mn  0.0440  0.4669  0.4337 [6 per cell]  4 O 2.07-2.28
Mn  0.0620  0.5018  0.0890 [6 per cell]  4 O 2.12-2.17
P  0.0824  0.7588  0.7050 [6 per cell]  4 O 1.54-1.58
P  0.0926  0.7946  0.0302 [6 per cell]  4 O 1.54-1.56
P  0.1366  0.7933  0.3744 [6 per cell]  4 O 1.54-1.57
P  0.2943  0.6562  0.5296 [6 per cell]  4 O 1.54-1.58
O  0.0130  0.6917  0.0837 [6 per cell]  1 P 1.55
O  0.0165  0.6714  0.7620 [6 per cell]  1 P 1.54
O  0.0213  0.1563  0.5028 [6 per cell]  1 P 1.56
O  0.0272  0.3380  0.1546 [6 per cell]  1 P 1.56
O  0.0391  0.7876  0.4277 [6 per cell]  1 P 1.55
O  0.0442  0.7927  0.3202 [6 per cell]  1 P 1.56
O  0.0544  0.2984  0.3815 [6 per cell]  1 P 1.54
O  0.0665  0.3726  0.7101 [6 per cell]  1 P 1.54
O  0.0784  0.1642  0.0405 [6 per cell]  1 P 1.58
O  0.1271  0.6918  0.9886 [6 per cell]  1 P 1.56
O  0.1311  0.6464  0.5346 [6 per cell]  1 P 1.56
O  0.1479  0.6395  0.3706 [6 per cell]  1 P 1.57
O  0.1709  0.5921  0.8498 [6 per cell]  1 P 1.55
O  0.2092  0.4619  0.0299 [6 per cell]  1 P 1.55
O  0.2644  0.6678  0.2516 [6 per cell]  1 P 1.54
O  0.2674  0.7207  0.1442 [6 per cell]  1 P 1.58